1.
An optimized crystal structure of ZrCrCuS4. Source: the Materials Project, functional PBE-GGA.

Structure (POSCAR):
```
ZrCrCuS4
1.0
3.5577 0.0000 0.0000
0.0000 12.8074 0.0000
0.0000 0.0000 11.1635
Zr Cr Cu S
4 4 4 16
Cartesian
0.0000 1.6993 0.0000 Zr
0.0000 4.3380 5.2502 Zr
0.0000 8.4694 10.8320 Zr
0.0000 11.1082 5.5818 Zr
1.7789 2.0171 7.2104 Cr
1.7789 4.6499 1.2913 Cr
1.7789 8.1576 6.8731 Cr
1.7789 10.7904 1.6286 Cr
0.0000 1.1790 3.4976 Cu
0.0000 11.6285 9.0794 Cu
1.7789 5.1859 9.0141 Cu
1.7789 7.6216 3.4324 Cu
0.0000 0.5453 6.7125 S
0.0000 3.6044 7.7290 S
0.0000 4.2329 10.8044 S
0.0000 5.3095 2.8244 S
0.0000 7.4979 8.4061 S
0.0000 8.5746 5.2226 S
0.0000 9.2030 2.1472 S
0.0000 12.2622 1.1307 S
1.7789 0.9412 9.4331 S
1.7789 2.3131 1.7754 S
1.7789 2.5124 4.8530 S
1.7789 5.9714 5.9099 S
1.7789 6.8360 0.3281 S
1.7789 10.2950 10.4347 S
1.7789 10.4944 7.3572 S
1.7789 11.8663 3.8513 S
```

## Properties
total magnetization: 3.00 μB per formula unit
VASP energy: -176.008 eV per cell
space group: Pmc2_1 (26)
polymorph energy (0 for the lowest one): 22.5 kJ/mol of atoms
V: 18.17 A^3/atom

2.
An optimized crystal structure of SmFe2. Source: the Materials Project, functional PBE-GGA.

Structure (POSCAR):
```
SmFe2
1.0
0.0000 3.6913 3.6913
3.6913 0.0000 3.6913
3.6913 3.6913 0.0000
Sm Fe
2 4
Cartesian
0.9228 0.9228 0.9228 Sm
6.4597 6.4597 6.4597 Sm
3.6913 1.8456 1.8456 Fe
1.8456 3.6913 1.8456 Fe
1.8456 1.8456 3.6913 Fe
3.6913 3.6913 3.6913 Fe
```

## Properties
VASP energy: -43.180 eV per cell
space group: Fd-3m (227)
V: 16.77 A^3/atom

3.
An optimized crystal structure of ErHSe. Source: the Materials Project, functional PBE-GGA.

Structure (POSCAR):
```
ErHSe
1.0
3.8069 0.0000 0.0000
-1.9035 3.2969 0.0000
0.0000 0.0000 3.8811
Er H Se
1 1 1
Cartesian
0.0000 0.0000 0.0000 Er
0.0000 2.1979 0.0000 H
1.9035 1.0990 1.9406 Se
```

## Properties
VASP energy: -15.718 eV per cell
space group: P-6m2 (187)
V: 16.24 A^3/atom

4.
An optimized crystal structure of ZrPbO3. Source: the Materials Project, functional PBE-GGA.

Structure (POSCAR):
```
ZrPbO3
1.0
4.2089 0.0000 0.0000
0.0000 4.2089 0.0000
0.0000 0.0000 4.2089
Zr Pb O
1 1 3
Cartesian
0.0000 0.0000 0.0000 Zr
2.1045 2.1045 2.1045 Pb
0.0000 0.0000 2.1045 O
0.0000 2.1045 0.0000 O
2.1045 0.0000 0.0000 O
```

## Properties
total magnetization: 0.00 μB per formula unit
VASP energy: -39.013 eV per cell
space group: Pm-3m (221)
V: 14.91 A^3/atom

5.
An optimized crystal structure of KO2. Source: the Materials Project, functional PBE-GGA.

Structure (POSCAR):
```
KO2
1.0
3.8711 0.0000 0.0000
0.0000 3.8711 0.0000
0.0000 0.0000 5.4334
K O
1 2
Cartesian
0.0000 0.0000 0.0000 K
0.0000 0.0000 2.7167 O
1.9355 1.9355 0.0000 O
```

## Properties
total magnetization: 3.00 μB per formula unit
VASP energy: -9.625 eV per cell
space group: P4/mmm (123)
polymorph energy (0 for the lowest one): 95.5 kJ/mol of atoms
V: 27.14 A^3/atom

6.
An optimized crystal structure of CeGa8Co2. Source: the Materials Project, functional PBE-GGA.

Structure (POSCAR):
```
CeGa8Co2
1.0
12.4202 0.0000 0.0000
0.0000 14.2868 0.0000
0.0000 0.0000 4.0756
Ce Ga Co
4 32 8
Cartesian
1.9480 2.5658 0.0000 Ce
4.2622 9.7092 0.0000 Ce
8.1581 4.5776 0.0000 Ce
10.4723 11.7210 0.0000 Ce
0.0000 0.0000 0.0000 Ga
0.0000 7.1434 2.0378 Ga
0.2792 12.3812 2.0378 Ga
0.6024 4.5544 2.0378 Ga
1.2295 10.6507 0.0000 Ga
1.9885 6.4986 0.0000 Ga
2.0378 8.8758 2.0378 Ga
2.0887 0.1487 2.0378 Ga
2.9664 11.7832 2.0378 Ga
3.2437 4.6398 2.0378 Ga
4.1214 7.2921 2.0378 Ga
4.1723 1.7324 2.0378 Ga
4.2216 13.6420 0.0000 Ga
4.9806 3.5073 0.0000 Ga
5.6078 11.6978 2.0378 Ga
5.9309 5.2378 2.0378 Ga
6.2101 0.0000 2.0378 Ga
6.2101 7.1434 0.0000 Ga
6.4894 9.0490 2.0378 Ga
6.8125 2.5890 2.0378 Ga
7.4397 10.7795 0.0000 Ga
8.1986 0.6448 0.0000 Ga
8.2479 12.5544 2.0378 Ga
8.2988 6.9947 2.0378 Ga
9.1765 9.6470 2.0378 Ga
9.4538 2.5036 2.0378 Ga
10.3315 14.1381 2.0378 Ga
10.3825 5.4110 2.0378 Ga
10.4317 7.7882 0.0000 Ga
11.1907 3.6361 0.0000 Ga
11.8179 9.7324 2.0378 Ga
12.1410 1.9056 2.0378 Ga
0.4343 8.4794 0.0000 Co
1.9146 12.9082 0.0000 Co
4.2955 5.7648 0.0000 Co
5.7758 1.3360 0.0000 Co
6.6444 12.9508 0.0000 Co
8.1247 8.5220 0.0000 Co
10.5057 1.3786 0.0000 Co
11.9859 5.8074 0.0000 Co
```

## Properties
total magnetization: 0.75 μB per formula unit
VASP energy: -194.320 eV per cell
space group: Pbam (55)
V: 16.44 A^3/atom

7.
An optimized crystal structure of KCoCu3Se4. Source: the Materials Project, functional PBE-GGA.

Structure (POSCAR):
```
KCoCu3Se4
1.0
6.0240 0.0000 0.0000
0.0000 6.0240 0.0000
0.0000 0.0000 6.0240
K Co Cu Se
1 1 3 4
Cartesian
0.0000 0.0000 0.0000 K
3.0120 3.0120 3.0120 Co
0.0000 3.0120 3.0120 Cu
3.0120 0.0000 3.0120 Cu
3.0120 3.0120 0.0000 Cu
1.7093 1.7093 4.3146 Se
1.7093 4.3146 1.7093 Se
4.3146 1.7093 1.7093 Se
4.3146 4.3146 4.3146 Se
```

## Properties
total magnetization: 1.00 μB per formula unit
VASP energy: -36.663 eV per cell
space group: P-43m (215)
V: 24.29 A^3/atom

8.
An optimized crystal structure of Na3IO. Source: the Materials Project, functional PBE-GGA.

Structure (POSCAR):
```
Na3IO
1.0
6.7979 0.0000 0.0000
-3.3989 5.8871 0.0000
0.0000 0.0000 16.5814
Na I O
18 6 6
Cartesian
-1.4074 3.1122 4.1454 Na
0.0000 1.9593 1.3115 Na
0.0000 1.9593 6.9792 Na
-1.7021 4.9075 1.3115 Na
-1.7021 4.9075 6.9792 Na
1.6968 0.9797 9.6022 Na
1.6968 0.9797 15.2699 Na
1.4075 3.1122 4.1454 Na
0.0000 5.5499 4.1454 Na
3.3989 0.3372 12.4361 Na
1.9915 2.7750 12.4361 Na
1.7021 4.9075 1.3115 Na
1.7021 4.9075 6.9792 Na
5.1011 0.9797 9.6022 Na
5.1011 0.9797 15.2699 Na
3.3989 3.9278 9.6022 Na
3.3989 3.9278 15.2699 Na
4.8064 2.7750 12.4361 Na
0.0000 0.0000 4.1454 I
0.0000 0.0000 12.4361 I
0.0000 3.9248 9.9399 I
0.0000 3.9248 14.9322 I
3.3989 1.9624 1.6492 I
3.3989 1.9624 6.6415 I
0.0000 0.0000 0.0000 O
0.0000 0.0000 8.2907 O
0.0000 3.9248 2.4783 O
0.0000 3.9248 5.8124 O
3.3989 1.9624 10.7690 O
3.3989 1.9624 14.1031 O
```

## Properties
VASP energy: -100.150 eV per cell
space group: P6_3/mmc (194)
V: 22.12 A^3/atom

9.
An optimized crystal structure of TbSmRh2. Source: the Materials Project, functional PBE-GGA.

Structure (POSCAR):
```
TbSmRh2
1.0
0.0000 3.4808 3.4808
3.4808 0.0000 3.4808
3.4808 3.4808 0.0000
Tb Sm Rh
1 1 2
Cartesian
0.0000 0.0000 0.0000 Tb
3.4808 3.4808 3.4808 Sm
1.7404 1.7404 1.7404 Rh
5.2212 5.2212 5.2212 Rh
```

## Properties
VASP energy: -27.197 eV per cell
space group: Fm-3m (225)
V: 21.09 A^3/atom

10.
An optimized crystal structure of CeThB8. Source: the Materials Project, functional PBE-GGA.

Structure (POSCAR):
```
CeThB8
1.0
5.0849 -5.1274 0.0000
5.0849 5.1274 0.0000
0.0000 0.0000 4.1044
Ce Th B
2 2 16
Cartesian
5.0849 3.2261 0.0000 Ce
5.0849 -3.2261 0.0000 Ce
3.1901 0.0000 0.0000 Th
6.9798 0.0000 0.0000 Th
2.5425 2.5637 0.8271 B
2.5425 2.5637 3.2773 B
1.8421 1.4673 2.0522 B
0.9052 0.0000 2.0522 B
3.6406 1.8781 2.0522 B
1.8421 -1.4673 2.0522 B
5.0849 0.9111 2.0522 B
6.5293 1.8781 2.0522 B
2.5425 -2.5637 0.8271 B
2.5425 -2.5637 3.2773 B
3.6406 -1.8781 2.0522 B
5.0849 -0.9111 2.0522 B
8.3277 1.4673 2.0522 B
6.5293 -1.8781 2.0522 B
9.2646 0.0000 2.0522 B
8.3277 -1.4673 2.0522 B
```

## Properties
VASP energy: -146.557 eV per cell
space group: Cmmm (65)
V: 10.70 A^3/atom

11.
An optimized crystal structure of Cs2TiP4O13. Source: the Materials Project, functional PBE-GGA.

Structure (POSCAR):
```
Cs2TiP4O13
1.0
5.2197 0.0000 0.0000
1.3407 8.0103 0.0000
1.6948 1.3528 15.9049
Cs Ti P O
4 2 8 26
Cartesian
2.0711 2.6099 7.7711 Cs
3.1317 2.9243 15.4311 Cs
5.1235 6.4388 0.4738 Cs
6.1841 6.7532 8.1338 Cs
1.2848 3.8677 3.8121 Ti
6.9704 5.4954 12.0927 Ti
3.2614 8.1993 11.0706 P
2.4355 6.9078 3.3878 P
4.3653 6.9176 13.5391 P
3.8685 5.2517 5.3488 P
4.3867 4.1114 10.5561 P
3.8899 2.4455 2.3658 P
5.8197 2.4553 12.5171 P
4.9938 1.1638 4.8343 P
1.3997 1.6955 11.3303 O
0.9659 2.1164 4.6396 O
1.5799 5.6680 3.0564 O
3.2832 5.8302 13.2536 O
2.9575 4.6586 10.7279 O
2.7777 7.7826 2.2476 O
4.1605 7.6676 14.8131 O
3.8997 8.1883 9.7313 O
2.8166 4.1623 4.9626 O
2.4812 3.0747 2.4684 O
4.2882 7.9537 12.2681 O
3.5975 5.8800 6.6745 O
3.7449 6.3774 4.1431 O
4.5103 2.9857 11.7618 O
4.6577 3.4832 9.2304 O
3.9670 1.4094 3.6368 O
5.7740 6.2884 13.4365 O
5.4386 5.2008 10.9423 O
4.3555 1.1748 6.1736 O
4.0947 1.6955 1.0918 O
5.4774 1.5805 13.6573 O
5.2977 4.7046 5.1770 O
4.9720 3.5329 2.6513 O
6.6753 3.6951 12.8485 O
7.2893 7.2467 11.2653 O
6.8555 7.6676 4.5746 O
```

## Properties
VASP energy: -286.518 eV per cell
space group: P-1 (2)
V: 16.63 A^3/atom

12.
An optimized crystal structure of Ta7Co6. Source: the Materials Project, functional PBE-GGA.

Structure (POSCAR):
```
Ta7Co6
1.0
2.4761 1.4296 8.7250
-2.4761 1.4296 8.7250
0.0000 -2.8591 8.7250
Ta Co
7 6
Cartesian
0.0000 0.0000 0.0000 Ta
0.0000 0.0000 4.3669 Ta
0.0000 0.0000 9.0486 Ta
0.0000 0.0000 11.8013 Ta
0.0000 0.0000 14.3737 Ta
0.0000 0.0000 17.1263 Ta
0.0000 0.0000 21.8080 Ta
0.0000 -1.3962 6.6945 Co
-1.2091 0.6981 6.6945 Co
-1.2091 -0.6981 19.4804 Co
1.2091 0.6981 6.6945 Co
1.2091 -0.6981 19.4804 Co
0.0000 1.3962 19.4804 Co
```

## Properties
total magnetization: 0.00 μB per formula unit
VASP energy: -128.924 eV per cell
space group: R-3m (166)
V: 14.25 A^3/atom

13.
An optimized crystal structure of LaAlNi. Source: the Materials Project, functional PBE-GGA.

Structure (POSCAR):
```
LaAlNi
1.0
7.1709 0.0000 0.0000
0.0000 4.1647 0.0000
0.0000 0.0000 16.0080
La Al Ni
8 8 8
Cartesian
0.0915 1.0412 3.5544 La
1.0517 1.0412 7.0348 La
2.5337 3.1235 15.0388 La
3.4940 3.1235 11.5584 La
3.6770 1.0412 4.4496 La
4.6372 1.0412 0.9692 La
6.1192 3.1235 8.9732 La
7.0794 3.1235 12.4535 La
0.0548 1.0412 15.0505 Al
1.2094 1.0412 10.3294 Al
2.3760 3.1235 2.3254 Al
3.5307 3.1235 7.0465 Al
3.6402 1.0412 8.9614 Al
4.7949 1.0412 13.6826 Al
5.9615 3.1235 5.6786 Al
7.1162 3.1235 0.9575 Al
1.4723 1.0412 1.1342 Ni
1.6282 3.1235 5.0982 Ni
1.9572 1.0412 13.1022 Ni
2.1132 3.1235 9.1382 Ni
5.0578 1.0412 6.8698 Ni
5.2137 3.1235 2.9058 Ni
5.5427 1.0412 10.9098 Ni
5.6986 3.1235 14.8737 Ni
```

## Properties
VASP energy: -128.296 eV per cell
space group: Pnma (62)
V: 19.92 A^3/atom

14.
An optimized crystal structure of InN. Source: the Materials Project, functional PBE-GGA.

Structure (POSCAR):
```
InN
1.0
0.0000 2.3547 2.3547
2.3547 0.0000 2.3547
2.3547 2.3547 0.0000
In N
1 1
Cartesian
0.0000 0.0000 0.0000 In
2.3547 2.3547 2.3547 N
```

## Properties
total magnetization: 0.00 μB per formula unit
VASP energy: -10.463 eV per cell
space group: Fm-3m (225)
polymorph energy (0 for the lowest one): 20.3 kJ/mol of atoms
V: 13.06 A^3/atom

15.
An optimized crystal structure of NaH2C2N3O. Source: the Materials Project, functional PBE-GGA.

Structure (POSCAR):
```
NaH2C2N3O
1.0
10.3028 0.0000 0.0000
-5.1514 8.9225 0.0000
0.0000 0.0000 6.5984
Na H C N O
6 12 12 18 6
Cartesian
-3.0563 5.2937 0.0000 Na
-3.0563 5.2937 3.2992 Na
2.0951 3.6288 0.0000 Na
2.0951 3.6288 3.2992 Na
6.1127 0.0000 0.0000 Na
6.1127 0.0000 3.2992 Na
-2.4360 7.2552 1.6496 H
0.0863 3.1852 1.6496 H
-0.4466 4.6692 1.6496 H
-0.8844 6.9747 1.6496 H
2.7154 1.6673 4.9488 H
1.3310 6.2011 1.6496 H
4.2670 1.9478 4.9488 H
2.3498 7.4046 1.6496 H
4.7048 4.2533 4.9488 H
6.4824 2.7214 4.9488 H
7.5012 1.5179 4.9488 H
5.2377 5.7372 4.9488 H
-4.0709 8.1586 4.9488 C
0.1213 1.3177 4.9488 C
-0.7241 3.4480 4.9488 C
1.0805 0.7639 1.6496 C
-1.8033 7.8256 4.9488 C
3.3481 1.0969 1.6496 C
2.5274 6.5714 4.9488 C
4.4273 5.4745 1.6496 C
3.9496 8.3687 4.9488 C
7.6788 2.3511 1.6496 C
9.1010 0.5538 1.6496 C
5.2727 7.6048 1.6496 C
-0.1275 1.3756 1.6496 N
-1.6076 4.2377 4.9488 N
-3.8963 8.3451 1.6496 N
-2.9968 7.3143 4.9488 N
1.2551 0.5774 4.9488 N
0.3155 2.6700 4.9488 N
2.1546 1.6082 1.6496 N
-0.6776 8.1959 4.9488 N
4.4738 0.7266 1.6496 N
2.2852 5.4114 4.9488 N
3.5438 4.6848 1.6496 N
2.6814 7.8607 4.9488 N
7.8328 1.0618 1.6496 N
4.0238 8.1243 1.6496 N
5.4669 6.2525 1.6496 N
5.0239 7.5469 4.9488 N
7.4366 3.5111 1.6496 N
9.1752 0.7982 4.9488 N
-1.7468 6.5162 1.6496 O
0.3816 4.1516 1.6496 O
3.4046 2.4063 4.9488 O
1.3652 7.1771 1.6496 O
6.5166 1.7453 4.9488 O
5.5330 4.7709 4.9488 O
```

## Properties
total magnetization: 0.00 μB per formula unit
VASP energy: -363.613 eV per cell
space group: P-62c (190)
largest piezoelectric modulus: 0.33 C/m²
V: 11.23 A^3/atom

16.
An optimized crystal structure of Ba2TlHg. Source: the Materials Project, functional PBE-GGA.

Structure (POSCAR):
```
Ba2TlHg
1.0
0.0000 4.2585 4.2585
4.2585 0.0000 4.2585
4.2585 4.2585 0.0000
Ba Tl Hg
2 1 1
Cartesian
2.1292 2.1292 2.1292 Ba
6.3877 6.3877 6.3877 Ba
0.0000 0.0000 0.0000 Tl
4.2585 4.2585 4.2585 Hg
```

## Properties
VASP energy: -8.410 eV per cell
space group: Fm-3m (225)
V: 38.61 A^3/atom

17.
An optimized crystal structure of MnI2. Source: the Materials Project, functional PBE-GGA.

Structure (POSCAR):
```
MnI2
1.0
4.1644 0.0000 0.0000
-2.0822 3.6064 0.0000
0.0000 0.0000 7.6487
Mn I
1 2
Cartesian
0.0000 0.0000 0.0000 Mn
0.0000 2.4043 1.6494 I
2.0822 1.2021 5.9993 I
```

## Properties
VASP energy: -13.571 eV per cell
space group: P-3m1 (164)
V: 38.29 A^3/atom

| no. | ΔE_f (eV per atom) |
| --- | --- |
| 1 | -1.024 |
| 2 | 0.023 |
| 3 | -1.578 |
| 4 | -2.794 |
| 5 | 0.002 |
| 6 | -0.382 |
| 7 | -0.450 |
| 8 | -1.388 |
| 9 | -0.779 |
| 10 | -0.650 |
| 11 | -2.826 |
| 12 | -0.251 |
| 13 | -0.525 |
| 14 | 0.132 |
| 15 | -0.530 |
| 16 | -0.476 |
| 17 | -0.706 |